La5Ti5O17 | r2SCAN | relaxed

Calculated values
space-group type: No. 14
ΔE_f: -3.640 eV/atom
E_tot: -15.3049 eV per atom

Cell lengths 7.8501, 5.5330, 31.6534 Å; angles 90.00, 97.12, 90.00 degrees
Sites, in units of the cell vectors:
La 0.1434 0.0887 0.2833
La 0.1434 0.4113 0.7833
La 0.2069 0.5010 0.4125
La 0.2069 0.9990 0.9125
La 0.2519 0.5008 0.0033
La 0.2519 0.9992 0.5033
La 0.2974 0.5027 0.5937
La 0.2974 0.9973 0.0937
La 0.3561 0.5455 0.2055
La 0.3561 0.9545 0.7055
La 0.6439 0.0455 0.2945
La 0.6439 0.4545 0.7945
La 0.7026 0.0027 0.9063
La 0.7026 0.4973 0.4063
La 0.7481 0.0008 0.4967
La 0.7481 0.4992 0.9967
La 0.7931 0.0010 0.0875
La 0.7931 0.4990 0.5875
La 0.8566 0.5887 0.2167
La 0.8566 0.9113 0.7167
Ti 0.0000 0.0000 0.0000
Ti 0.0000 0.5000 0.5000
Ti 0.0473 0.5089 0.0925
Ti 0.0473 0.9911 0.5925
Ti 0.0860 0.0357 0.1768
Ti 0.0860 0.4643 0.6768
Ti 0.4096 0.5401 0.3218
Ti 0.4096 0.9599 0.8218
Ti 0.4550 0.0080 0.4069
Ti 0.4550 0.4920 0.9069
Ti 0.5000 0.0000 0.0000
Ti 0.5000 0.5000 0.5000
Ti 0.5450 0.5080 0.0931
Ti 0.5450 0.9920 0.5931
Ti 0.5904 0.0401 0.1782
Ti 0.5904 0.4599 0.6782
Ti 0.9140 0.5357 0.3232
Ti 0.9140 0.9643 0.8232
Ti 0.9527 0.0089 0.4075
Ti 0.9527 0.4911 0.9075
O 0.0138 0.7172 0.9637
O 0.0138 0.7828 0.4637
O 0.0455 0.1969 0.1205
O 0.0455 0.3031 0.6205
O 0.0468 0.7201 0.5500
O 0.0468 0.7799 0.0500
O 0.0905 0.2008 0.7122
O 0.0905 0.2992 0.2122
O 0.1151 0.7152 0.1367
O 0.1151 0.7848 0.6367
O 0.1243 0.6858 0.7215
O 0.1243 0.8142 0.2215
O 0.1658 0.0399 0.8307
O 0.1658 0.4601 0.3307
O 0.2059 0.0443 0.4110
O 0.2059 0.4557 0.9110
O 0.2502 0.0533 0.0003
O 0.2502 0.4467 0.5003
O 0.2905 0.0579 0.5807
O 0.2905 0.4421 0.0807
O 0.3363 0.0742 0.1719
O 0.3363 0.4258 0.6719
O 0.3786 0.6855 0.7922
O 0.3786 0.8145 0.2922
O 0.3998 0.1747 0.7749
O 0.3998 0.3253 0.2749
O 0.4260 0.6928 0.3799
O 0.4260 0.8072 0.8799
O 0.4505 0.7163 0.9640
O 0.4505 0.7837 0.4640
O 0.4786 0.2097 0.3621
O 0.4786 0.2903 0.8621
O 0.4963 0.2186 0.9494
O 0.4963 0.2814 0.4494
O 0.5037 0.7186 0.5506
O 0.5037 0.7814 0.0506
O 0.5214 0.7097 0.1379
O 0.5214 0.7903 0.6379
O 0.5495 0.2163 0.5360
O 0.5495 0.2837 0.0360
O 0.5740 0.1928 0.1201
O 0.5740 0.3072 0.6201
O 0.6002 0.6747 0.7251
O 0.6002 0.8253 0.2251
O 0.6214 0.1855 0.7078
O 0.6214 0.3145 0.2078
O 0.6637 0.5742 0.3281
O 0.6637 0.9258 0.8281
O 0.7095 0.5579 0.9193
O 0.7095 0.9421 0.4193
O 0.7498 0.5533 0.4997
O 0.7498 0.9467 0.9997
O 0.7941 0.5443 0.0890
O 0.7941 0.9557 0.5890
O 0.8342 0.5399 0.6693
O 0.8342 0.9601 0.1693
O 0.8757 0.1858 0.7785
O 0.8757 0.3142 0.2785
O 0.8849 0.2152 0.3633
O 0.8849 0.2848 0.8633
O 0.9095 0.7008 0.7878
O 0.9095 0.7992 0.2878
O 0.9532 0.2201 0.9500
O 0.9532 0.2799 0.4500
O 0.9545 0.6969 0.3795
O 0.9545 0.8031 0.8795
O 0.9862 0.2172 0.5363
O 0.9862 0.2828 0.0363